Computed, not measured: a relaxed structure of CoP3H16N4O11 at the GGA+U level of DFT.

Geometry as CIF:
```
data_CoP3H16N4O11
_chemical_formula_sum 'Co2 P6 H32 N8 O22'
_cell_length_a 7.9543
_cell_length_b 10.7488
_cell_length_c 9.1374
_cell_angle_alpha 90.00
_cell_angle_beta 99.50
_cell_angle_gamma 90.00
_symmetry_space_group_name_H-M 'P 1 21 1'
_symmetry_Int_Tables_number 4
loop_
_symmetry_equiv_pos_as_xyz
'x,y,z'
'-x,y+1/2,-z'
loop_
_atom_site_label
_atom_site_type_symbol
_atom_site_fract_x
_atom_site_fract_y
_atom_site_fract_z
_atom_site_occupancy
Co1 Co 0.2056 0.0000 0.1154 1
P1 P 0.0986 0.6395 0.7393 1
P2 P 0.1971 0.4426 0.9669 1
P3 P 0.3328 0.4898 0.2814 1
H1 H 0.0802 0.7988 0.4049 1
H2 H 0.0966 0.1028 0.8758 1
H3 H 0.1474 0.0245 0.5541 1
H4 H 0.1924 0.5781 0.5280 1
H5 H 0.2045 0.0087 0.6257 1
H6 H 0.2342 0.2657 0.6181 1
H7 H 0.2371 0.8156 0.9453 1
H8 H 0.2533 0.7606 0.1162 1
H9 H 0.2770 0.1748 0.9433 1
H10 H 0.3374 0.3246 0.4348 1
H11 H 0.3792 0.1779 0.2525 1
H12 H 0.3997 0.1912 0.6076 1
H13 H 0.4245 0.8214 0.0577 1
H14 H 0.4450 0.9705 0.8359 1
H15 H 0.4551 0.6001 0.8202 1
H16 H 0.4833 0.9260 0.2805 1
N1 N 0.2116 0.0926 0.9437 1
N2 N 0.2951 0.8296 0.0544 1
N3 N 0.3938 0.9935 0.2929 1
N4 N 0.4357 0.0961 0.2273 1
O1 O 0.0201 0.3948 0.9136 1
O2 O 0.0810 0.1235 0.2294 1
O3 O 0.1166 0.5541 0.6017 1
O4 O 0.1756 0.7658 0.7378 1
O5 O 0.1939 0.5016 0.1340 1
O6 O 0.2314 0.5666 0.8774 1
O7 O 0.3010 0.5822 0.3945 1
O8 O 0.3333 0.3489 0.3249 1
O9 O 0.3485 0.2742 0.5933 1
O10 O 0.3488 0.3590 0.9750 1
O11 O 0.4894 0.0246 0.7649 1
```

---

Computed, not measured: a relaxed structure of K3FePCO7 at the GGA+U level of DFT.

Geometry as CIF:
```
data_K3FePCO7
_chemical_formula_sum 'K12 Fe4 P4 C4 O28'
_cell_length_a 5.6755
_cell_length_b 9.6630
_cell_length_c 14.0012
_cell_angle_alpha 89.97
_cell_angle_beta 90.00
_cell_angle_gamma 89.83
_symmetry_space_group_name_H-M 'P -1'
_symmetry_Int_Tables_number 2
loop_
_symmetry_equiv_pos_as_xyz
'x,y,z'
'-x,-y,-z'
loop_
_atom_site_label
_atom_site_type_symbol
_atom_site_fract_x
_atom_site_fract_y
_atom_site_fract_z
_atom_site_occupancy
K1 K 0.2429 0.4277 0.3733 1
K2 K 0.2437 0.4272 0.8766 1
K3 K 0.2546 0.7831 0.7470 1
K4 K 0.2553 0.7839 0.0045 1
K5 K 0.2548 0.7838 0.5052 1
K6 K 0.2548 0.7846 0.2433 1
Fe1 Fe 0.2378 0.1472 0.1237 1
Fe2 Fe 0.2410 0.1449 0.6263 1
P1 P 0.2704 0.0788 0.3730 1
P2 P 0.2706 0.0816 0.8770 1
C1 C 0.2565 0.4205 0.1254 1
C2 C 0.2586 0.4176 0.6246 1
O1 O 0.0571 0.3525 0.1259 1
O2 O 0.0619 0.3464 0.6243 1
O3 O 0.0862 0.9609 0.3745 1
O4 O 0.0886 0.9626 0.8758 1
O5 O 0.2382 0.1725 0.9689 1
O6 O 0.2380 0.1771 0.7880 1
O7 O 0.2424 0.1697 0.2811 1
O8 O 0.2431 0.1743 0.4618 1
O9 O 0.2561 0.5515 0.6250 1
O10 O 0.2599 0.5542 0.1249 1
O11 O 0.4516 0.3476 0.1254 1
O12 O 0.4551 0.3467 0.6248 1
O13 O 0.4734 0.9779 0.1236 1
O14 O 0.4747 0.9853 0.6266 1
```

---

Energy relative to the elements / eV per atom: -1.08, -2.29